[1]
68
Lattice="6.9225 0.0000 0.0000 0.0000 8.6513 0.0000 0.0000 0.0000 24.4898" Properties=species:S:1:pos:R:3 comment="Ti2Ag2P2S11 | the Materials Project | PBE-GGA | optimized geometry" e_tot_ry_per_atom=-0.3775 pbc="T T T"
P 1.7306 0.0093 15.9294
S 0.0295 0.3043 2.6191
Ti 3.4903 2.2166 10.3246
Ag 1.7306 7.7771 19.6726
Ag 5.1919 0.9156 16.9830
Ag 1.7306 3.4515 17.0622
S 6.9045 4.6543 21.8443
Ag 5.1919 0.8741 4.8172
S 0.0295 4.6300 9.6258
S 5.1919 6.5745 12.6572
Ag 1.7306 7.7357 7.5068
S 1.7306 5.2329 6.7254
P 1.7306 4.3349 20.8053
Ti 3.4321 2.1090 22.5695
S 1.7306 0.9072 5.5195
S 5.1919 3.3804 5.4860
S 1.7306 6.5740 16.0614
S 1.7306 1.0516 24.0283
Ag 1.7306 3.4101 4.7381
Ti 6.8934 6.5422 1.9203
S 6.8930 4.0213 14.8641
Ag 5.1919 5.2412 19.7517
S 3.4908 8.3469 21.8707
S 5.1919 1.2431 11.8215
S 5.1919 3.4184 17.7644
S 5.1919 5.5687 0.4234
P 5.1919 8.6419 8.5604
P 5.1919 0.0258 20.7575
S 5.1919 6.4365 16.0102
S 3.4432 8.3226 9.5994
S 6.9045 0.3287 14.8904
S 5.1919 2.1108 20.7245
P 5.1919 4.3163 3.6845
P 1.7306 8.6254 3.7323
S 1.7306 2.2484 20.6734
Ti 0.0291 2.1090 22.5695
P 1.7306 4.2998 8.5126
S 1.7306 5.3772 12.7065
S 5.1919 6.4029 3.8165
S 3.4317 4.6300 9.6258
S 1.7306 6.5404 3.7653
S 1.7306 2.2148 8.4796
Ti 3.4321 6.4347 14.1652
S 3.4432 3.9969 2.6455
S 5.1919 7.5997 0.4616
S 0.0180 8.3226 9.5994
S 5.1919 3.2740 11.7833
S 0.0180 3.9969 2.6455
S 3.4317 0.3043 2.6191
S 1.7306 6.4024 0.4123
Ti 3.4903 6.5422 1.9203
P 5.1919 4.3515 15.9772
S 1.7306 3.0825 24.0664
S 1.7306 2.0767 11.8327
S 3.4792 0.3287 14.8904
Ag 5.1919 5.1997 7.4277
Ti 0.0291 6.4347 14.1652
S 5.1919 7.7061 6.7589
S 5.1919 2.0772 8.4284
S 5.1919 2.2489 24.0776
S 3.4792 4.6543 21.8443
S 5.1919 7.7440 18.9703
S 6.8930 8.3469 21.8707
S 3.4908 4.0213 14.8641
S 1.7306 0.9452 17.7309
S 1.7306 5.2708 19.0038
S 1.7306 7.4082 12.6683
Ti 6.8934 2.2166 10.3246

***

[2]
20
Lattice="3.9385 0.0000 0.0000 0.0000 8.2370 0.0000 0.0000 0.0000 9.8027" Properties=species:S:1:pos:R:3 comment="ThNi2P2 | the Materials Project | PBE-GGA | optimized geometry" e_tot_ry_per_atom=-0.5151 pbc="T T T"
Ni 0.9846 3.4380 9.3274
P 2.9539 7.0563 0.4815
Ni 0.9846 7.8442 1.2116
Ni 0.9846 3.7257 3.6897
Ni 2.9539 4.5112 6.1130
Th 0.9846 6.2593 8.1404
P 2.9539 2.9379 4.4198
P 0.9846 5.2991 5.3829
Ni 2.9539 4.7990 0.4753
Ni 2.9539 0.6805 4.4260
P 0.9846 0.2547 3.3225
P 2.9539 3.8638 8.2238
P 2.9539 7.9823 6.4802
P 0.9846 1.1806 9.3212
Ni 2.9539 0.3927 8.5911
Ni 0.9846 7.5565 5.3767
Th 0.9846 2.1408 6.5637
P 0.9846 4.3732 1.5789
Th 2.9539 1.9777 1.6624
Th 2.9539 6.0962 3.2390

***

[3]
59
Lattice="6.1527 1.6341 -0.9665 -1.9827 1.4321 -10.2009 -3.0472 9.4152 -3.4796" Properties=species:S:1:pos:R:3 comment="Lu2Ti12Cu9O36 | the Materials Project | PBE-GGA | optimized geometry" e_tot_ry_per_atom=-0.5656 pbc="T T T"
O -1.6209 3.2175 -8.4230
Ti 1.7740 8.5933 -9.9257
O 3.9000 6.6590 -5.8770
Lu 0.0361 0.0096 -0.0057
Cu 1.4785 5.3999 -10.3132
O 4.6692 4.8568 -4.0271
O -2.7750 11.0060 -12.4999
O 4.4569 4.1271 -6.6125
O 2.1384 3.6443 -9.7593
Cu -0.0615 10.1552 -12.0767
O -3.6807 7.6060 -10.6945
Cu 4.5917 6.3175 -2.7292
O -0.4982 3.3909 -10.8812
Ti -1.6480 4.7277 -9.7882
Ti 3.0296 0.8047 -0.4759
Cu 0.2213 3.0686 -7.7027
Cu 3.6096 7.0314 -7.7747
O 1.1787 11.6664 -12.2494
Ti 0.5050 6.3215 -7.4054
Ti 2.7654 7.8773 -4.8253
O -0.0412 0.8281 -2.4067
Ti -0.9567 10.8247 -9.0968
O 0.8558 7.1559 -10.9294
Ti 3.2976 3.8857 -8.1859
O -1.8428 7.2068 -3.0904
O 2.9854 5.2696 -11.5638
O -1.6993 5.8940 -11.3269
O 1.2208 6.9137 -5.5937
Cu 0.9390 9.4370 -6.9213
Ti -0.4395 6.9835 -12.2989
O -2.5856 10.1097 -9.8414
O 1.0761 7.9465 -8.1904
Ti 4.2890 3.1697 -3.0855
O 2.0634 2.9198 -6.9824
O 0.1703 4.5465 -6.3851
O -3.4605 8.3965 -7.9555
O -1.0025 8.8339 -4.8885
Ti -0.6044 3.9005 -4.7286
Cu 5.1168 2.3715 -6.0586
O 3.6099 2.5018 -4.8080
O -0.0190 5.4427 -9.0436
O 2.7679 6.4843 -3.4345
O -2.8658 5.7060 -8.7192
O 0.3805 5.2865 -3.7956
O -0.9054 9.6585 -7.5581
O 2.7628 9.2702 -6.2160
O 2.3693 5.5202 -7.6020
O 0.2612 9.8464 -10.1657
Lu 2.3891 4.6956 -5.1988
O 2.4664 3.8771 -2.7978
O 1.6308 9.0956 -3.7735
Cu -0.3110 7.0602 -4.3420
O -1.3367 8.6647 -11.9843
O -1.2680 6.8878 -6.9007
Ti -2.1652 8.5690 -6.5860
O 3.9088 1.4825 -2.1438
Ti -3.1097 9.2310 -11.4795
Cu 1.2126 2.3526 -2.6022
O 0.9407 2.7463 -4.5241

***

[4]
96
Lattice="-6.7045 3.2488 10.6491 10.6080 -2.0280 7.2972 3.9448 14.0966 -1.8169" Properties=species:S:1:pos:R:3 comment="Rb3AgO2 | the Materials Project | PBE-GGA | optimized geometry" e_tot_ry_per_atom=-0.2581 pbc="T T T"
Ag 7.7547 8.1695 2.4007
O 9.5150 9.0075 9.4097
O -0.2016 11.2956 6.1201
O 9.6668 4.6118 7.1100
Rb -2.5734 9.4586 6.8633
O 2.7188 8.1626 1.1169
O 2.8330 13.7242 3.0964
O 1.7758 6.1979 13.3250
O 6.8562 5.1911 12.4726
Rb -2.7482 6.0227 11.4573
O 0.7405 11.4350 11.0259
Ag 5.2402 12.2202 7.4888
O 11.9088 10.3899 6.1409
Rb 10.5309 6.1435 9.4086
Rb 1.0172 10.6758 8.4626
Rb -4.4544 2.8778 11.9420
Rb 2.0402 8.4415 11.2926
Ag 7.1536 13.2236 16.3200
O 3.2921 12.7872 7.8656
Rb 5.0026 3.3381 6.3200
Rb 2.6067 3.1492 13.3931
Rb -1.2208 0.7943 2.2670
Rb 0.7685 4.9239 6.9787
Rb 7.5400 13.8350 5.0185
Rb -1.5979 3.1109 4.9886
Ag 6.1884 13.8167 11.9230
Ag -1.8673 6.5419 4.7700
Rb 9.5405 2.5661 9.1096
Rb 5.5708 0.0711 3.6540
Rb 1.6243 14.4405 11.4915
O -1.5201 14.7526 8.5945
Ag 6.5458 3.5649 3.0464
Rb 1.7639 11.4978 1.6474
Ag -0.6601 11.1473 4.1271
Ag 4.5708 3.7023 17.5965
Rb 9.2791 5.5922 4.3728
Rb 2.2177 5.3209 2.9213
Rb 3.9222 12.7134 14.3857
O 4.3501 14.7291 12.2112
Rb -4.9153 9.1960 9.7928
O 3.7672 8.9537 5.0200
Rb 9.8551 11.4888 7.4818
Rb 5.9340 3.1871 10.6278
O 1.5754 7.3208 8.5844
Rb 5.0719 9.8102 0.2667
Rb 4.2498 8.6908 7.7864
Ag 2.6556 2.6998 8.7681
O 7.1677 11.6157 7.1372
Rb 11.8589 7.2249 6.2489
O -1.5858 3.2357 11.4448
Ag 7.7540 5.2875 7.4988
O 2.2416 2.4620 6.7816
Ag 4.7920 13.2134 2.6863
O 4.6082 4.1333 3.4027
Ag 5.1744 9.1244 12.6348
Rb 7.2024 10.7696 10.0159
O 4.7826 9.0630 10.6077
O 3.0630 3.0318 10.7471
Rb 0.7134 4.8660 10.9399
Rb -3.4977 5.7667 7.7110
Rb 8.1818 -1.4524 5.9410
Rb 4.5655 5.9757 13.6869
Rb 5.5631 6.6569 4.9100
Rb 4.3462 15.2555 9.2907
Rb -1.5976 9.5860 11.5841
Rb 7.9615 8.6306 7.0844
O 1.1137 2.6421 1.6585
Ag -0.4473 7.5741 8.9575
Rb 3.8112 5.8584 9.5298
Ag 3.2842 8.6154 3.0585
O 8.1189 8.2290 4.4101
Rb 7.9608 11.0569 13.7582
Rb 3.6789 11.7047 10.5619
O -2.4187 7.9571 9.3602
Rb 8.5950 2.2520 5.5606
O 5.9233 6.1788 7.8193
O 6.3011 0.6931 6.3063
Rb 3.8468 14.9809 5.5452
O 5.5300 8.9479 14.6574
Rb 1.0829 8.2276 5.7555
Rb 7.0251 7.1838 10.3988
O 6.7953 12.9389 2.2864
Ag 6.6713 0.6284 8.3198
O 8.0471 13.0308 11.5723
Rb 2.4056 2.0840 4.1044
Ag -2.0238 3.0095 9.4388
O 4.1223 3.5900 15.5989
Rb 2.6473 11.5904 5.2250
O -2.5519 2.5691 7.4958
Rb 0.7640 13.9444 7.3832
O 7.0522 0.4222 10.3464
Rb 8.0295 14.2735 8.9782
Rb 10.7913 12.6769 11.0256
Rb 6.2310 10.4731 4.4696
O -0.0157 5.7780 4.3450
Rb 5.1669 0.6842 15.4670

***

[5]
96
Lattice="3.6259 12.3659 0.0000 -3.6259 12.3659 0.0000 0.0000 2.1161 17.4013" Properties=species:S:1:pos:R:3 comment="Rb2USi6O15 | the Materials Project | PBE-GGA | optimized geometry" e_tot_ry_per_atom=-0.5714 pbc="T T T"
O 0.8818 19.2161 1.4040
O -0.2208 2.8120 4.3357
O -0.3317 18.8024 6.1888
Si 1.8465 7.2296 6.1344
O -2.1402 19.1397 15.0469
O 2.4051 14.1172 1.5047
O 1.5448 15.3615 10.8856
O 0.8818 6.5737 7.2967
Rb -0.3288 11.3210 13.1015
Rb -0.1247 10.5982 17.2658
O -2.0866 8.3712 5.8850
U -0.2383 23.5655 15.2137
O 2.0250 16.9861 2.2602
O -2.1402 8.7662 11.0550
O -1.1312 19.8504 12.7200
Si -1.1793 20.2447 14.3101
O -2.0250 18.0441 10.9608
O 2.0866 9.4293 14.5857
O -1.5448 11.4864 6.5157
O -2.4051 15.1753 10.2054
Si -0.2773 3.6998 14.5556
O -0.6331 5.1475 15.2547
O 0.2208 24.0359 13.0655
O -2.4051 12.7307 15.8965
Si -1.8131 13.6893 10.0010
O 2.0866 18.4767 11.5162
Si -0.1899 20.4764 1.4243
Si -1.2089 12.7640 1.8251
O 1.5448 12.5445 15.2163
O 0.3825 12.4430 2.1029
O 0.6831 3.9054 0.0645
O -0.3825 14.4049 15.2984
Si 0.2773 2.6417 5.8550
O -2.0866 17.4186 2.8156
O 2.7589 14.3301 6.7968
Si 0.1899 21.5345 10.1249
O -0.3317 6.9875 2.5118
O -1.5500 13.3604 8.4308
O -2.7589 15.3882 15.4974
Rb -0.1247 17.3077 8.8361
O 1.9694 12.7331 11.4920
Si 1.1793 19.1867 5.6094
O 2.0250 8.8038 6.4404
Si 0.2773 23.1481 2.8456
O -0.3825 13.5010 10.8035
O 0.3825 13.3469 6.5977
Si 1.2089 13.8221 10.5257
O 0.2208 3.8701 13.0363
O 1.5500 14.4185 17.1315
Si -1.1793 7.6612 11.7918
O 0.6331 21.7004 2.1466
Si 1.2089 14.0839 15.5762
Rb 0.1247 16.2497 0.1354
O -1.9694 11.6750 2.7914
O -0.2208 22.9778 4.3649
O 0.3317 8.0455 11.2125
O -0.6331 22.7585 10.8472
O 2.4051 11.6726 7.1959
O 2.1402 18.0817 6.3463
Rb -0.3288 16.5849 13.0004
Si -1.2089 13.0258 6.8756
O 2.7589 11.4597 1.9039
Si 1.8465 18.5602 2.5663
O -2.0250 9.8618 15.1410
O 0.3317 19.8604 14.8894
U 0.2383 3.2824 2.1876
O 1.1312 6.9975 4.6812
Rb 0.3288 15.5269 4.2997
Si -0.2773 24.2062 11.5463
Si -0.1899 5.3134 7.2764
Si -1.8465 19.6183 11.2669
O -2.7589 12.5178 10.6045
O 1.1312 18.7923 4.0194
O -0.8818 7.6318 15.9973
Si 1.1793 6.6032 3.0912
Si 1.8131 13.1586 7.4003
O -1.9694 14.1148 5.9092
O -0.8818 20.2742 10.1046
Rb 0.3288 10.2630 4.4009
O 0.6831 21.8845 8.6361
U 0.2383 22.5074 6.5130
O -1.1312 8.0556 13.3819
Si -1.8131 14.2166 16.1009
O -0.6831 22.9425 17.3368
O 1.9694 15.1729 14.6099
Si 1.8131 12.6313 1.3003
O 2.1402 7.7082 2.3544
O 1.5500 13.4875 8.9704
O -1.5448 14.3034 2.1850
U -0.2383 4.3405 10.8882
O -0.6831 4.9634 8.7651
Si 0.1899 6.3715 15.9770
O 0.6331 4.0894 6.5541
O -1.5500 12.4294 0.2698
Rb 0.1247 9.5402 8.5652
Si -1.8465 8.2877 14.8350